# 1
# KNb4AsO13 | Materials Project | PBE | relaxed
data_KNb4AsO13
_chemical_formula_sum 'K2 Nb8 As2 O26'
_cell_length_a 7.487
_cell_length_b 7.487
_cell_length_c 10.197
_cell_angle_alpha 90.00
_cell_angle_beta 90.00
_cell_angle_gamma 89.07
_symmetry_space_group_name_H-M 'P 1'
_symmetry_Int_Tables_number 1
_symmetry_space_group_name_Hall 'P 1'
loop_
_atom_site_label
_atom_site_fract_x
_atom_site_fract_y
_atom_site_fract_z
_atom_site_occupancy
K1 0.060 0.940 0.500 1
K2 0.940 0.060 0.000 1
Nb1 0.056 0.603 0.811 1
Nb2 0.326 0.328 0.561 1
Nb3 0.328 0.326 0.061 1
Nb4 0.397 0.944 0.811 1
Nb5 0.603 0.056 0.311 1
Nb6 0.672 0.674 0.561 1
Nb7 0.674 0.672 0.061 1
Nb8 0.944 0.397 0.311 1
As1 0.337 0.663 0.309 1
As2 0.663 0.337 0.809 1
O1 0.112 0.630 0.311 1
O2 0.139 0.299 0.174 1
O3 0.140 0.298 0.445 1
O4 0.160 0.840 0.810 1
O5 0.193 0.508 0.949 1
O6 0.193 0.509 0.671 1
O7 0.298 0.140 0.945 1
O8 0.299 0.139 0.674 1
O9 0.370 0.888 0.311 1
O10 0.431 0.569 0.449 1
O11 0.432 0.568 0.170 1
O12 0.491 0.807 0.671 1
O13 0.492 0.807 0.949 1
O14 0.508 0.193 0.449 1
O15 0.509 0.193 0.171 1
O16 0.568 0.432 0.670 1
O17 0.569 0.431 0.949 1
O18 0.630 0.112 0.811 1
O19 0.701 0.861 0.174 1
O20 0.702 0.860 0.445 1
O21 0.807 0.491 0.171 1
O22 0.807 0.492 0.449 1
O23 0.840 0.160 0.310 1
O24 0.860 0.702 0.945 1
O25 0.861 0.701 0.674 1
O26 0.888 0.370 0.811 1
# Energy with MP2020 corrections   -326.646 eV per cell
# Total magnetic moment   0.0 μB/cell
# VASP energy   -8.126 eV/atom

# 2
# In2CuAgSn2S8 | Materials Project | PBE | relaxed
data_In2CuAgSn2S8
_chemical_formula_sum 'In2 Cu1 Ag1 Sn2 S8'
_cell_length_a 7.609
_cell_length_b 7.609
_cell_length_c 7.609
_cell_angle_alpha 119.98
_cell_angle_beta 119.84
_cell_angle_gamma 90.15
_symmetry_space_group_name_H-M 'P 1'
_symmetry_Int_Tables_number 1
_symmetry_space_group_name_Hall 'P 1'
loop_
_atom_site_label
_atom_site_fract_x
_atom_site_fract_y
_atom_site_fract_z
_atom_site_occupancy
In1 0.249 0.000 0.249 1
In2 0.751 0.000 0.751 1
Cu1 0.123 0.623 0.500 1
Ag1 0.377 0.377 0.000 1
Sn1 0.751 0.001 0.250 1
Sn2 0.751 0.501 0.750 1
S1 0.508 0.751 0.757 1
S2 0.512 0.246 0.734 1
S3 0.512 0.778 0.266 1
S4 0.513 0.245 0.268 1
S5 0.977 0.245 0.732 1
S6 0.994 0.239 0.245 1
S7 0.994 0.750 0.755 1
S8 0.994 0.751 0.243 1
# Energy with MP2020 corrections   -63.345 eV per cell
# Total magnetic moment   0.0 μB/cell
# VASP energy   -4.237 eV/atom

# 3
# In2Se3 | Materials Project | PBE | relaxed
data_In2Se3
_chemical_formula_sum 'In2 Se3'
_cell_length_a 4.018
_cell_length_b 4.018
_cell_length_c 9.789
_cell_angle_alpha 90.00
_cell_angle_beta 90.00
_cell_angle_gamma 120.00
_symmetry_space_group_name_H-M 'P 1'
_symmetry_Int_Tables_number 1
_symmetry_space_group_name_Hall 'P 1'
loop_
_atom_site_label
_atom_site_fract_x
_atom_site_fract_y
_atom_site_fract_z
_atom_site_occupancy
In1 0.333 0.667 0.307 1
In2 0.667 0.333 0.693 1
Se1 0.000 0.000 0.500 1
Se2 0.333 0.667 0.830 1
Se3 0.667 0.333 0.170 1
# Energy with MP2020 corrections   -19.744 eV per cell
# VASP energy   -3.666 eV/atom

# 4
# SiIr3 | Materials Project | PBE | relaxed
data_SiIr3
_chemical_formula_sum 'Si2 Ir6'
_cell_length_a 5.493
_cell_length_b 5.493
_cell_length_c 5.493
_cell_angle_alpha 122.51
_cell_angle_beta 122.51
_cell_angle_gamma 85.71
_symmetry_space_group_name_H-M 'P 1'
_symmetry_Int_Tables_number 1
_symmetry_space_group_name_Hall 'P 1'
loop_
_atom_site_label
_atom_site_fract_x
_atom_site_fract_y
_atom_site_fract_z
_atom_site_occupancy
Si1 0.250 0.750 0.500 1
Si2 0.750 0.250 0.500 1
Ir1 0.185 0.685 0.870 1
Ir2 0.250 0.250 0.000 1
Ir3 0.315 0.185 0.500 1
Ir4 0.685 0.815 0.500 1
Ir5 0.750 0.750 0.000 1
Ir6 0.815 0.315 0.130 1
# VASP energy   -8.380 eV/atom